# 1
LaTa2NO5, optimized geometry, DFT PBE-GGA; theoretical density = 8.2 g/cm3; ΔE to the lowest computed polymorph = 0.0050 eV/atom; SG = Pc; total magnetic moment = 0.000 μB/atom; volume = 121 Å³/f.u.; formation enthalpy at 0 K = -3.161 eV per atom
1.0
7.7347 0.0000 0.0000
0.0000 5.5334 0.0000
-0.0104 0.0000 11.3117
La Ta N O
4 8 4 20
Cartesian
0.0000 1.1302 0.0000
-0.0052 4.4032 5.6559
3.7563 1.6393 10.4095
3.7615 3.8941 4.7537
1.8238 1.1663 3.4721
1.8186 4.3671 9.1280
1.8630 1.6324 6.7970
1.8682 3.9010 1.1412
5.7605 1.1503 3.5458
5.7553 4.3831 9.2016
5.7748 1.5731 6.7651
5.7800 3.9603 1.1093
1.4595 2.0911 1.8650
1.4543 3.4422 7.5208
7.6558 1.1142 6.7870
7.6610 4.4191 1.1311
1.6156 2.6279 4.8587
1.6104 2.9055 10.5146
2.1562 0.0913 5.4223
2.1511 5.4421 11.0781
2.3260 0.6621 8.4391
2.3312 4.8713 2.7833
3.8151 2.2094 6.5163
3.8203 3.3240 0.8604
3.8258 1.6307 3.5458
3.8206 3.9027 9.2017
5.2825 0.6405 8.4218
5.2877 4.8929 2.7659
5.4502 0.1046 5.4053
5.4450 5.4288 11.0612
5.9999 2.6336 4.8812
5.9947 2.8998 10.5371
6.1386 2.1042 1.9130
6.1334 3.4292 7.5689
7.6521 0.5575 3.7701
7.6469 4.9759 9.4259

---

# 2
TmPt3, optimized geometry, DFT PBE-GGA; theoretical density = 18.3 g/cm3; SG = Pm-3m; volume = 69 Å³/f.u.; formation enthalpy at 0 K = -1.061 eV per atom
1.0
4.0931 0.0000 0.0000
0.0000 4.0931 0.0000
0.0000 0.0000 4.0931
Tm Pt
1 3
Cartesian
0.0000 0.0000 0.0000
0.0000 2.0465 2.0465
2.0465 0.0000 2.0465
2.0465 2.0465 0.0000

---

> Look up the theoretical density of the second one.

18.3 g/cm3